(1)
Compound: Tm3Sn
Source: the Materials Project
Functional: meta-GGA r2SCAN
Structure: relaxed

Cell: 4.560 4.560 10.348 Å, 90.00 90.00 90.00°
Atoms (fractional coordinates):
Tm: 0.000 0.000 0.000
Tm: 0.000 0.500 0.250
Tm: 0.000 0.500 0.750
Tm: 0.500 0.000 0.250
Tm: 0.500 0.000 0.750
Tm: 0.500 0.500 0.500
Sn: 0.000 0.000 0.500
Sn: 0.500 0.500 0.000

Properties
- energy of formation (eV per formula unit) = -1.72
- final energy (eV per cell) = -263.67
- volume (Å³ per atom) = 26.9
- total moment (μB/atom) = 0.0000



(2)
Compound: K3P2AuSe8
Source: the Materials Project
Functional: meta-GGA r2SCAN
Structure: relaxed

Cell: 7.243 7.243 18.823 Å, 92.83 92.83 120.73°
Atoms (fractional coordinates):
K: 0.067 0.933 0.500
K: 0.399 0.848 0.292
K: 0.535 0.744 0.648
K: 0.744 0.535 0.148
K: 0.848 0.399 0.792
K: 0.933 0.067 0.000
P: 0.123 0.999 0.772
P: 0.211 0.745 0.018
P: 0.745 0.211 0.518
P: 0.999 0.123 0.272
Au: 0.378 0.476 0.893
Au: 0.476 0.378 0.393
Se: 0.038 0.376 0.452
Se: 0.088 0.807 0.675
Se: 0.250 0.930 0.116
Se: 0.323 0.886 0.834
Se: 0.345 0.357 0.768
Se: 0.357 0.345 0.268
Se: 0.376 0.038 0.952
Se: 0.425 0.603 0.018
Se: 0.514 0.885 0.477
Se: 0.603 0.425 0.518
Se: 0.807 0.088 0.175
Se: 0.827 0.919 0.817
Se: 0.885 0.514 0.977
Se: 0.886 0.323 0.334
Se: 0.919 0.827 0.317
Se: 0.930 0.250 0.616

Properties
- energy of formation (eV per formula unit) = -9.45
- final energy (eV per cell) = -421.17
- volume (Å³ per atom) = 30.2
- total moment (μB/atom) = 0.0000



(3)
Compound: UGePt
Source: the Materials Project
Functional: meta-GGA r2SCAN
Structure: relaxed

Cell: 7.193 4.397 7.613 Å, 90.00 90.00 90.00°
Atoms (fractional coordinates):
U: 0.010 0.250 0.218
U: 0.490 0.750 0.718
U: 0.510 0.250 0.282
U: 0.990 0.750 0.782
Ge: 0.195 0.250 0.591
Ge: 0.305 0.750 0.091
Ge: 0.695 0.250 0.909
Ge: 0.805 0.750 0.409
Pt: 0.220 0.750 0.418
Pt: 0.280 0.250 0.918
Pt: 0.720 0.750 0.082
Pt: 0.780 0.250 0.582

Properties
- energy of formation (eV per formula unit) = -2.59
- final energy (eV per cell) = -591.56
- volume (Å³ per atom) = 20.1
- total moment (μB/atom) = 0.7595